1.
Below is a relaxed structure of Ce2Zn17, with properties calculated at the r2SCAN level.

## Properties
**ΔH_f (0 K)**: -0.259 eV per atom

Cell lengths 6.7653, 6.7653, 6.7653 Å; angles 82.84, 82.84, 82.84 degrees
With the nearest neighbours (Å) after each atom.
Fractional positions:
Ce  0.1625  0.1625  0.1625  19 Zn 3.12-3.43
Ce  0.8375  0.8375  0.8375  19 Zn 3.12-3.43
Zn  0.0000  0.5000  0.5000  10 Zn 2.56-2.73
Zn  0.1505  0.1505  0.6593  9 Zn 2.56-2.83
Zn  0.1505  0.6593  0.1505  9 Zn 2.56-2.83
Zn  0.2086  0.5000  0.7914  8 Zn 2.56-2.74
Zn  0.2086  0.7914  0.5000  8 Zn 2.56-2.74
Zn  0.3407  0.8495  0.8495  9 Zn 2.56-2.83
Zn  0.4009  0.4009  0.4009  7 Zn 2.60-2.83
Zn  0.5000  0.0000  0.5000  10 Zn 2.56-2.73
Zn  0.5000  0.2086  0.7914  8 Zn 2.56-2.74
Zn  0.5000  0.5000  0.0000  10 Zn 2.56-2.73
Zn  0.5000  0.7914  0.2086  8 Zn 2.56-2.74
Zn  0.5991  0.5991  0.5991  7 Zn 2.60-2.83
Zn  0.6593  0.1505  0.1505  9 Zn 2.56-2.83
Zn  0.7914  0.2086  0.5000  8 Zn 2.56-2.74
Zn  0.7914  0.5000  0.2086  8 Zn 2.56-2.74
Zn  0.8495  0.3407  0.8495  9 Zn 2.56-2.83
Zn  0.8495  0.8495  0.3407  9 Zn 2.56-2.83

2.
Below is a relaxed structure of CeZn2, with properties calculated at the r2SCAN level.

## Properties
**ΔH_f (0 K)**: -0.342 eV per atom

Cell lengths 5.7458, 5.7458, 5.7458 Å; angles 132.79, 98.79, 99.67 degrees
With the nearest neighbours (Å) after each atom.
Fractional positions:
Ce  0.2937  0.0437  0.2500  12 Zn 3.11-3.39
Ce  0.7063  0.9563  0.7500  12 Zn 3.11-3.39
Zn  0.1021  0.6639  0.4383  4 Zn 2.60-2.82
Zn  0.2744  0.3361  0.9383  4 Zn 2.60-2.82
Zn  0.7256  0.6639  0.0617  4 Zn 2.60-2.82
Zn  0.8979  0.3361  0.5617  4 Zn 2.60-2.82

3.
Below is a relaxed structure of CeZn2, with properties calculated at the r2SCAN level.

## Properties
**ΔH_f (0 K)**: -0.348 eV per atom

Cell lengths 4.5928, 5.7357, 5.7618 Å; angles 82.89, 66.68, 66.85 degrees
With the nearest neighbours (Å) after each atom.
Fractional positions:
Ce  0.2495  0.2170  0.2841  12 Zn 3.08-3.37
Ce  0.7505  0.7830  0.7159  12 Zn 3.08-3.37
Zn  0.0536  0.7809  0.1107  4 Zn 2.62-2.86
Zn  0.4431  0.3906  0.7213  4 Zn 2.62-2.86
Zn  0.5569  0.6094  0.2787  4 Zn 2.62-2.86
Zn  0.9464  0.2191  0.8893  4 Zn 2.62-2.86

4.
Below is a relaxed structure of Ce3Zn11, with properties calculated at the r2SCAN level.

## Properties
**ΔH_f (0 K)**: -0.322 eV per atom

Cell lengths 8.2538, 8.2538, 8.2538 Å; angles 148.60, 116.01, 73.02 degrees
With the nearest neighbours (Å) after each atom.
Fractional positions:
Ce  0.0000  0.0000  0.0000  12 Zn 3.12-3.30
Ce  0.2944  0.2944  0.0000  14 Zn 3.04-3.22
Ce  0.7056  0.7056  0.0000  14 Zn 3.04-3.22
Zn  0.0138  0.6566  0.3572  5 Zn 2.50-2.76
Zn  0.1444  0.8590  0.2854  4 Zn 2.57-2.76
Zn  0.2994  0.6566  0.6428  5 Zn 2.50-2.76
Zn  0.3206  0.5000  0.8206  4 Zn 2.59-2.73
Zn  0.4264  0.1410  0.2854  4 Zn 2.57-2.76
Zn  0.5000  0.0000  0.5000  8 Zn 2.65-2.73
Zn  0.5736  0.8590  0.7146  4 Zn 2.57-2.76
Zn  0.6794  0.5000  0.1794  4 Zn 2.59-2.73
Zn  0.7006  0.3434  0.3572  5 Zn 2.50-2.76
Zn  0.8556  0.1410  0.7146  4 Zn 2.57-2.76
Zn  0.9862  0.3434  0.6428  5 Zn 2.50-2.76

5.
Below is a relaxed structure of Cl, with properties calculated at the r2SCAN level.

## Properties
**Energy relative to the lowest polymorph listed for this composition**: 73 meV/atom
**ΔH_f (0 K)**: 0.073 eV per atom

Cell lengths 10.8155, 10.8155, 8.7799 Å; angles 90.00, 90.00, 90.00 degrees
With the nearest neighbours (Å) after each atom.
Fractional positions:
Cl  0.1073  0.6526  0.1059  1 Cl 1.98
Cl  0.1073  0.8474  0.6059  1 Cl 1.98
Cl  0.1526  0.6073  0.8941  1 Cl 1.98
Cl  0.1526  0.8927  0.3941  1 Cl 1.98
Cl  0.3474  0.6073  0.3941  1 Cl 1.98
Cl  0.3474  0.8927  0.8941  1 Cl 1.98
Cl  0.3927  0.6526  0.6059  1 Cl 1.98
Cl  0.3927  0.8474  0.1059  1 Cl 1.98
Cl  0.6073  0.1526  0.8941  1 Cl 1.98
Cl  0.6073  0.3474  0.3941  1 Cl 1.98
Cl  0.6526  0.1073  0.1059  1 Cl 1.98
Cl  0.6526  0.3927  0.6059  1 Cl 1.98
Cl  0.8474  0.1073  0.6059  1 Cl 1.98
Cl  0.8474  0.3927  0.1059  1 Cl 1.98
Cl  0.8927  0.1526  0.3941  1 Cl 1.98
Cl  0.8927  0.3474  0.8941  1 Cl 1.98

6.
Below is a relaxed structure of Cl, with properties calculated at the r2SCAN level.

## Properties
**Energy relative to the lowest polymorph listed for this composition**: 0 meV/atom
**ΔH_f (0 K)**: 0.000 eV per atom

Cell lengths 3.8585, 3.8585, 8.4024 Å; angles 90.00, 90.00, 64.45 degrees
With the nearest neighbours (Å) after each atom.
Fractional positions:
Cl  0.1145  0.8855  0.8952  1 Cl 2.00
Cl  0.3855  0.6145  0.3952  1 Cl 2.00
Cl  0.6145  0.3855  0.6048  1 Cl 2.00
Cl  0.8855  0.1145  0.1048  1 Cl 2.00

7.
Below is a relaxed structure of Cs3CoCl5, with properties calculated at the r2SCAN level.

## Properties
**ΔH_f (0 K)**: -1.836 eV per atom

Cell lengths 9.7679, 9.7679, 9.7679 Å; angles 123.16, 123.16, 84.61 degrees
With the nearest neighbours (Å) after each atom.
Fractional positions:
Cs  0.1653  0.6653  0.8306  8 Cl 3.45-3.63
Cs  0.2500  0.2500  0.0000  10 Cl 3.61-3.84
Cs  0.3347  0.1653  0.5000  8 Cl 3.45-3.63
Cs  0.6653  0.8347  0.5000  8 Cl 3.45-3.63
Cs  0.7500  0.7500  0.0000  10 Cl 3.61-3.84
Cs  0.8347  0.3347  0.1694  8 Cl 3.45-3.63
Co  0.2500  0.7500  0.5000  4 Cl 2.25
Co  0.7500  0.2500  0.5000  4 Cl 2.25
Cl  0.0000  0.0000  0.0000  6 Cs 3.47-3.61
Cl  0.0196  0.7951  0.5000  1 Co 2.25
Cl  0.2049  0.7049  0.2245  1 Co 2.25
Cl  0.2951  0.5196  0.5000  1 Co 2.25
Cl  0.4804  0.9804  0.7755  1 Co 2.25
Cl  0.5000  0.5000  0.0000  6 Cs 3.47-3.61
Cl  0.5196  0.0196  0.2245  1 Co 2.25
Cl  0.7049  0.4804  0.5000  1 Co 2.25
Cl  0.7951  0.2951  0.7755  1 Co 2.25
Cl  0.9804  0.2049  0.5000  1 Co 2.25

8.
Below is a relaxed structure of CsCoCl3, with properties calculated at the r2SCAN level.

## Properties
**ΔH_f (0 K)**: -1.515 eV per atom

Cell lengths 7.2566, 7.2566, 5.9875 Å; angles 90.00, 90.00, 120.01 degrees
With the nearest neighbours (Å) after each atom.
Fractional positions:
Cs  0.1667  0.8333  0.7500  12 Cl 3.62-3.75
Cs  0.8333  0.1667  0.2500  12 Cl 3.62-3.75
Co  0.5000  0.5000  0.0000  6 Cl 2.44-2.46
Co  0.5000  0.5000  0.5000  6 Cl 2.44-2.46
Cl  0.1937  0.3449  0.7500  2 Co 2.44
Cl  0.3449  0.1937  0.2500  2 Co 2.44
Cl  0.3452  0.6548  0.2500  2 Co 2.46
Cl  0.6548  0.3452  0.7500  2 Co 2.46
Cl  0.6551  0.8063  0.7500  2 Co 2.44
Cl  0.8063  0.6551  0.2500  2 Co 2.44